{"formula": "SmCoSi", "functional": "GGA-PBE", "state": "relaxed", "cell": [[-0.5495, -2.5097, -3.0506], [-1.3474, -2.7762, 2.5267], [-6.3320, 2.3509, -0.7936]], "species": ["Sm", "Si", "Co", "Co", "Si", "Sm"], "frac_coords": [[0.0000, 0.5000, 0.3190], [0.5000, 0.0000, 0.1765], [0.5000, 0.5000, 0.0000], [0.0000, 0.0000, 0.0000], [0.0000, 0.5000, 0.8235], [0.5000, 0.0000, 0.6810]], "mass_density_g_cm3": 7.3, "formation_energy_ev_per_atom": -0.6756}